1.
Crystalline ZrTaTe4 at its relaxed geometry, computed with PBE.

abc: 3.833 3.833 14.508
angles: 90.00 90.00 120.00
Fractional positions:
Zr (0.000, 0.000, 0.000)
Ta (0.000, 0.000, 0.500)
Te (0.333, 0.667, 0.378)
Te (0.333, 0.667, 0.871)
Te (0.667, 0.333, 0.129)
Te (0.667, 0.333, 0.622)

## Properties
Symmetry = P-3m1 (164)
Energy of formation from the pure elements = -0.8622 eV/atom

=====

2.
Crystalline Th3Ta at its relaxed geometry, computed with PBE.

abc: 6.756 6.756 5.772
angles: 90.00 90.00 120.00
Fractional positions:
Th (0.176, 0.353, 0.250)
Th (0.176, 0.824, 0.250)
Th (0.353, 0.176, 0.750)
Th (0.647, 0.824, 0.250)
Th (0.824, 0.176, 0.750)
Th (0.824, 0.647, 0.750)
Ta (0.333, 0.667, 0.750)
Ta (0.667, 0.333, 0.250)

## Properties
Symmetry = P6_3/mmc (194)
Energy of formation from the pure elements = 0.2990 eV/atom

=====

3.
Crystalline TaTi at its relaxed geometry, computed with PBE.

abc: 3.294 4.606 4.660
angles: 90.00 90.00 90.00
Fractional positions:
Ta (0.000, 0.000, 0.000)
Ta (0.500, 0.500, 0.000)
Ti (0.000, 0.500, 0.500)
Ti (0.500, 0.000, 0.500)

## Properties
Symmetry = Cmmm (65)
Energy of formation from the pure elements = 0.0606 eV/atom

=====

4.
Crystalline Ta4V at its relaxed geometry, computed with PBE.

abc: 6.584 6.584 6.584
angles: 60.00 60.00 60.00
Fractional positions:
Ta (0.186, 0.771, 0.771)
Ta (0.229, 0.229, 0.229)
Ta (0.229, 0.229, 0.814)
Ta (0.229, 0.814, 0.229)
Ta (0.771, 0.186, 0.771)
Ta (0.771, 0.771, 0.186)
Ta (0.771, 0.771, 0.771)
Ta (0.814, 0.229, 0.229)
V (0.375, 0.375, 0.375)
V (0.625, 0.625, 0.625)

## Properties
Symmetry = Fd-3m (227)
Energy of formation from the pure elements = 1.4411 eV/atom

=====

5.
Crystalline TaV at its relaxed geometry, computed with PBE.

abc: 3.213 4.616 4.341
angles: 90.00 90.00 90.00
Fractional positions:
Ta (0.000, 0.000, 0.000)
Ta (0.500, 0.500, 0.000)
V (0.000, 0.500, 0.500)
V (0.500, 0.000, 0.500)

## Properties
Symmetry = Cmmm (65)
Energy of formation from the pure elements = 0.0853 eV/atom

=====

6.
Crystalline TaW at its relaxed geometry, computed with PBE.

abc: 3.258 4.623 4.555
angles: 90.00 90.00 90.00
Fractional positions:
Ta (0.000, 0.000, 0.000)
Ta (0.500, 0.500, 0.000)
W (0.000, 0.500, 0.500)
W (0.500, 0.000, 0.500)

## Properties
Symmetry = Cmmm (65)
Energy of formation from the pure elements = -0.0675 eV/atom

=====

7.
Crystalline TaZn2 at its relaxed geometry, computed with PBE.

abc: 5.063 5.063 8.156
angles: 90.00 90.00 120.00
Fractional positions:
Ta (0.333, 0.667, 0.066)
Ta (0.333, 0.667, 0.434)
Ta (0.667, 0.333, 0.566)
Ta (0.667, 0.333, 0.934)
Zn (0.000, 0.000, 0.000)
Zn (0.000, 0.000, 0.500)
Zn (0.172, 0.344, 0.750)
Zn (0.172, 0.828, 0.750)
Zn (0.344, 0.172, 0.250)
Zn (0.656, 0.828, 0.750)
Zn (0.828, 0.172, 0.250)
Zn (0.828, 0.656, 0.250)

## Properties
Symmetry = P6_3/mmc (194)
Energy of formation from the pure elements = -0.0842 eV/atom

=====

8.
Crystalline TaZn2 at its relaxed geometry, computed with PBE.

abc: 5.048 5.048 16.325
angles: 90.00 90.00 120.00
Fractional positions:
Ta (0.000, 0.000, 0.091)
Ta (0.000, 0.000, 0.409)
Ta (0.000, 0.000, 0.591)
Ta (0.000, 0.000, 0.909)
Ta (0.333, 0.667, 0.156)
Ta (0.333, 0.667, 0.344)
Ta (0.667, 0.333, 0.656)
Ta (0.667, 0.333, 0.844)
Zn (0.000, 0.500, 0.000)
Zn (0.000, 0.500, 0.500)
Zn (0.161, 0.321, 0.750)
Zn (0.161, 0.839, 0.750)
Zn (0.321, 0.161, 0.250)
Zn (0.333, 0.667, 0.627)
Zn (0.333, 0.667, 0.873)
Zn (0.500, 0.000, 0.000)
Zn (0.500, 0.000, 0.500)
Zn (0.500, 0.500, 0.000)
Zn (0.500, 0.500, 0.500)
Zn (0.667, 0.333, 0.127)
Zn (0.667, 0.333, 0.373)
Zn (0.679, 0.839, 0.750)
Zn (0.839, 0.161, 0.250)
Zn (0.839, 0.679, 0.250)

## Properties
Symmetry = P6_3/mmc (194)
Energy of formation from the pure elements = -0.0893 eV/atom